No. 1
Density functional theory data (PBE-GGA) for a relaxed structure of MgAl4Cu2O8.

## Properties
Space group ... C2/m, No. 12
Excess energy over the best structure of this formula in the dataset ... 226.8 meV/atom
Uncorrected energy ... -6.29 eV/atom
Energy relative to the elements ... -2.3639 eV/atom
Calculated density ... 4.4 g/cm3

Geometry as CIF:
```
data_MgAl4Cu2O8
_chemical_formula_sum 'Mg1 Al4 Cu2 O8'
_space_group_name_H-M_alt 'P 1'
_space_group_IT_number 1
_cell_length_a 5.796
_cell_length_b 5.796
_cell_length_c 6.072
_cell_angle_alpha 117.19
_cell_angle_beta 117.19
_cell_angle_gamma 57.83
loop_
_space_group_symop_operation_xyz
'x,y,z'
loop_
_atom_site_label
_atom_site_fract_x
_atom_site_fract_y
_atom_site_fract_z
_atom_site_occupancy
Mg1 0.000 0.000 0.000 1
Al1 0.169 0.169 0.477 1
Al2 0.500 0.500 0.000 1
Al3 0.500 0.500 0.500 1
Al4 0.831 0.831 0.523 1
Cu1 0.000 0.500 0.000 1
Cu2 0.500 0.000 0.000 1
O1 0.222 0.731 0.725 1
O2 0.269 0.778 0.275 1
O3 0.280 0.280 0.329 1
O4 0.288 0.288 0.817 1
O5 0.712 0.712 0.183 1
O6 0.720 0.720 0.671 1
O7 0.731 0.222 0.725 1
O8 0.778 0.269 0.275 1
```

=====

No. 2
Density functional theory data (PBE-GGA) for a relaxed structure of BeB6H14.

## Properties
Space group ... P2_1/c, No. 14
Uncorrected energy ... -4.43 eV/atom
Energy relative to the elements ... -0.1999 eV/atom
Calculated density ... 0.7 g/cm3

Geometry as CIF:
```
data_BeB6H14
_chemical_formula_sum 'Be4 B24 H56'
_space_group_name_H-M_alt 'P 1'
_space_group_IT_number 1
_cell_length_a 8.737
_cell_length_b 8.640
_cell_length_c 13.083
_cell_angle_alpha 90.00
_cell_angle_beta 124.00
_cell_angle_gamma 90.00
loop_
_space_group_symop_operation_xyz
'x,y,z'
loop_
_atom_site_label
_atom_site_fract_x
_atom_site_fract_y
_atom_site_fract_z
_atom_site_occupancy
Be1 0.021 0.168 0.177 1
Be2 0.021 0.332 0.677 1
Be3 0.979 0.668 0.323 1
Be4 0.979 0.832 0.823 1
B1 0.101 0.248 0.574 1
B2 0.101 0.252 0.074 1
B3 0.209 0.597 0.355 1
B4 0.209 0.903 0.855 1
B5 0.246 0.104 0.179 1
B6 0.246 0.396 0.679 1
B7 0.270 0.127 0.323 1
B8 0.270 0.373 0.823 1
B9 0.344 0.236 0.656 1
B10 0.344 0.264 0.156 1
B11 0.443 0.190 0.303 1
B12 0.443 0.310 0.803 1
B13 0.557 0.690 0.197 1
B14 0.557 0.810 0.697 1
B15 0.656 0.736 0.844 1
B16 0.656 0.764 0.344 1
B17 0.730 0.627 0.177 1
B18 0.730 0.873 0.677 1
B19 0.754 0.604 0.321 1
B20 0.754 0.896 0.821 1
B21 0.791 0.097 0.145 1
B22 0.791 0.403 0.645 1
B23 0.899 0.748 0.926 1
B24 0.899 0.752 0.426 1
H1 0.005 0.180 0.603 1
H2 0.005 0.320 0.103 1
H3 0.020 0.239 0.964 1
H4 0.020 0.261 0.464 1
H5 0.097 0.521 0.367 1
H6 0.097 0.979 0.867 1
H7 0.149 0.734 0.325 1
H8 0.149 0.766 0.825 1
H9 0.151 0.213 0.317 1
H10 0.151 0.287 0.817 1
H11 0.209 0.543 0.270 1
H12 0.209 0.957 0.770 1
H13 0.213 0.126 0.604 1
H14 0.213 0.374 0.104 1
H15 0.256 0.520 0.643 1
H16 0.256 0.980 0.143 1
H17 0.308 0.022 0.393 1
H18 0.308 0.478 0.893 1
H19 0.353 0.601 0.454 1
H20 0.353 0.899 0.954 1
H21 0.402 0.643 0.138 1
H22 0.402 0.857 0.638 1
H23 0.403 0.233 0.384 1
H24 0.403 0.267 0.884 1
H25 0.427 0.230 0.609 1
H26 0.427 0.270 0.109 1
H27 0.445 0.165 0.766 1
H28 0.445 0.335 0.266 1
H29 0.555 0.665 0.734 1
H30 0.555 0.835 0.234 1
H31 0.573 0.730 0.891 1
H32 0.573 0.770 0.391 1
H33 0.597 0.733 0.116 1
H34 0.597 0.767 0.616 1
H35 0.598 0.143 0.362 1
H36 0.598 0.357 0.862 1
H37 0.647 0.101 0.046 1
H38 0.647 0.399 0.546 1
H39 0.692 0.522 0.107 1
H40 0.692 0.978 0.607 1
H41 0.744 0.020 0.857 1
H42 0.744 0.480 0.357 1
H43 0.787 0.626 0.896 1
H44 0.787 0.874 0.396 1
H45 0.791 0.043 0.230 1
H46 0.791 0.457 0.730 1
H47 0.849 0.713 0.183 1
H48 0.849 0.787 0.683 1
H49 0.851 0.234 0.175 1
H50 0.851 0.266 0.675 1
H51 0.903 0.021 0.133 1
H52 0.903 0.479 0.633 1
H53 0.980 0.739 0.536 1
H54 0.980 0.761 0.036 1
H55 0.995 0.680 0.897 1
H56 0.995 0.820 0.397 1
```

=====

No. 3
Density functional theory data (PBE-GGA) for a relaxed structure of Mg.

## Properties
Space group ... P6_3/mmc, No. 194
Excess energy over the best structure of this formula in the dataset ... 13.3 meV/atom
Uncorrected energy ... -1.59 eV/atom
Energy relative to the elements ... 0.0133 eV/atom
Calculated density ... 1.8 g/cm3

Geometry as CIF:
```
data_Mg
_chemical_formula_sum 'Mg4'
_space_group_name_H-M_alt 'P 1'
_space_group_IT_number 1
_cell_length_a 3.204
_cell_length_b 3.204
_cell_length_c 10.321
_cell_angle_alpha 90.00
_cell_angle_beta 90.00
_cell_angle_gamma 120.00
loop_
_space_group_symop_operation_xyz
'x,y,z'
loop_
_atom_site_label
_atom_site_fract_x
_atom_site_fract_y
_atom_site_fract_z
_atom_site_occupancy
Mg1 0.000 0.000 0.000 1
Mg2 0.000 0.000 0.500 1
Mg3 0.333 0.667 0.250 1
Mg4 0.667 0.333 0.750 1
```

=====

No. 4
Density functional theory data (PBE-GGA) for a relaxed structure of TmCoC.

## Properties
Space group ... P4_2/mmc, No. 131
Excess energy over the best structure of this formula in the dataset ... 0.0 meV/atom
Uncorrected energy ... -7.29 eV/atom
Energy relative to the elements ... -0.3520 eV/atom
Calculated density ... 9.2 g/cm3

Geometry as CIF:
```
data_TmCoC
_chemical_formula_sum 'Tm2 Co2 C2'
_space_group_name_H-M_alt 'P 1'
_space_group_IT_number 1
_cell_length_a 3.601
_cell_length_b 3.601
_cell_length_c 6.697
_cell_angle_alpha 90.00
_cell_angle_beta 90.00
_cell_angle_gamma 90.00
loop_
_space_group_symop_operation_xyz
'x,y,z'
loop_
_atom_site_label
_atom_site_fract_x
_atom_site_fract_y
_atom_site_fract_z
_atom_site_occupancy
Tm1 0.000 0.000 0.250 1
Tm2 0.000 0.000 0.750 1
Co1 0.500 0.500 0.000 1
Co2 0.500 0.500 0.500 1
C1 0.000 0.500 0.000 1
C2 0.500 0.000 0.500 1
```

=====

No. 5
Density functional theory data (PBE-GGA) for a relaxed structure of ThMg149.

## Properties
Space group ... P-6m2, No. 187
Uncorrected energy ... -1.66 eV/atom
Energy relative to the elements ... -0.0173 eV/atom
Calculated density ... 1.9 g/cm3

Geometry as CIF:
```
data_ThMg149
_chemical_formula_sum 'Th1 Mg149'
_space_group_name_H-M_alt 'P 1'
_space_group_IT_number 1
_cell_length_a 15.948
_cell_length_b 15.948
_cell_length_c 15.606
_cell_angle_alpha 90.00
_cell_angle_beta 90.00
_cell_angle_gamma 120.00
loop_
_space_group_symop_operation_xyz
'x,y,z'
loop_
_atom_site_label
_atom_site_fract_x
_atom_site_fract_y
_atom_site_fract_z
_atom_site_occupancy
Th1 0.000 0.000 0.000 1
Mg1 0.000 0.000 0.335 1
Mg2 0.000 0.000 0.665 1
Mg3 0.000 0.201 0.334 1
Mg4 0.000 0.201 0.666 1
Mg5 0.000 0.400 0.334 1
Mg6 0.000 0.400 0.666 1
Mg7 0.000 0.401 0.000 1
Mg8 0.000 0.600 0.000 1
Mg9 0.000 0.600 0.334 1
Mg10 0.000 0.600 0.666 1
Mg11 0.000 0.799 0.334 1
Mg12 0.000 0.799 0.666 1
Mg13 0.004 0.207 0.000 1
Mg14 0.004 0.797 0.000 1
Mg15 0.066 0.533 0.500 1
Mg16 0.067 0.134 0.500 1
Mg17 0.067 0.334 0.500 1
Mg18 0.067 0.533 0.167 1
Mg19 0.067 0.533 0.833 1
Mg20 0.067 0.733 0.500 1
Mg21 0.067 0.933 0.500 1
Mg22 0.068 0.336 0.168 1
Mg23 0.068 0.336 0.832 1
Mg24 0.068 0.732 0.168 1
Mg25 0.068 0.732 0.832 1
Mg26 0.069 0.137 0.171 1
Mg27 0.069 0.137 0.829 1
Mg28 0.069 0.931 0.171 1
Mg29 0.069 0.931 0.829 1
Mg30 0.200 0.401 0.334 1
Mg31 0.200 0.401 0.666 1
Mg32 0.200 0.600 0.334 1
Mg33 0.200 0.600 0.666 1
Mg34 0.200 0.800 0.334 1
Mg35 0.200 0.800 0.666 1
Mg36 0.201 0.000 0.334 1
Mg37 0.201 0.000 0.666 1
Mg38 0.201 0.201 0.334 1
Mg39 0.201 0.201 0.666 1
Mg40 0.201 0.600 0.000 1
Mg41 0.202 0.404 0.000 1
Mg42 0.202 0.798 0.000 1
Mg43 0.203 0.207 0.000 1
Mg44 0.203 0.996 0.000 1
Mg45 0.263 0.131 0.164 1
Mg46 0.263 0.131 0.836 1
Mg47 0.267 0.134 0.500 1
Mg48 0.267 0.334 0.500 1
Mg49 0.267 0.533 0.500 1
Mg50 0.267 0.534 0.167 1
Mg51 0.267 0.534 0.833 1
Mg52 0.267 0.733 0.167 1
Mg53 0.267 0.733 0.500 1
Mg54 0.267 0.733 0.833 1
Mg55 0.267 0.933 0.500 1
Mg56 0.268 0.336 0.168 1
Mg57 0.268 0.336 0.832 1
Mg58 0.268 0.932 0.168 1
Mg59 0.268 0.932 0.832 1
Mg60 0.400 0.000 0.000 1
Mg61 0.400 0.000 0.334 1
Mg62 0.400 0.000 0.666 1
Mg63 0.400 0.200 0.333 1
Mg64 0.400 0.200 0.667 1
Mg65 0.400 0.400 0.334 1
Mg66 0.400 0.400 0.666 1
Mg67 0.400 0.401 0.000 1
Mg68 0.400 0.600 0.000 1
Mg69 0.400 0.600 0.334 1
Mg70 0.400 0.600 0.666 1
Mg71 0.400 0.799 0.000 1
Mg72 0.400 0.800 0.334 1
Mg73 0.400 0.800 0.666 1
Mg74 0.402 0.201 0.000 1
Mg75 0.465 0.133 0.166 1
Mg76 0.465 0.133 0.834 1
Mg77 0.465 0.332 0.166 1
Mg78 0.465 0.332 0.834 1
Mg79 0.466 0.733 0.167 1
Mg80 0.466 0.733 0.833 1
Mg81 0.467 0.134 0.500 1
Mg82 0.467 0.333 0.500 1
Mg83 0.467 0.533 0.167 1
Mg84 0.467 0.533 0.500 1
Mg85 0.467 0.533 0.833 1
Mg86 0.467 0.733 0.500 1
Mg87 0.467 0.933 0.167 1
Mg88 0.467 0.933 0.833 1
Mg89 0.467 0.934 0.500 1
Mg90 0.596 0.798 0.000 1
Mg91 0.599 0.000 0.000 1
Mg92 0.599 0.600 0.000 1
Mg93 0.599 0.800 0.334 1
Mg94 0.599 0.800 0.666 1
Mg95 0.600 0.000 0.334 1
Mg96 0.600 0.000 0.666 1
Mg97 0.600 0.200 0.000 1
Mg98 0.600 0.200 0.333 1
Mg99 0.600 0.200 0.667 1
Mg100 0.600 0.400 0.000 1
Mg101 0.600 0.400 0.333 1
Mg102 0.600 0.400 0.667 1
Mg103 0.600 0.600 0.334 1
Mg104 0.600 0.600 0.666 1
Mg105 0.664 0.732 0.168 1
Mg106 0.664 0.732 0.832 1
Mg107 0.664 0.932 0.168 1
Mg108 0.664 0.932 0.832 1
Mg109 0.666 0.733 0.500 1
Mg110 0.666 0.933 0.500 1
Mg111 0.667 0.134 0.500 1
Mg112 0.667 0.333 0.166 1
Mg113 0.667 0.333 0.500 1
Mg114 0.667 0.333 0.834 1
Mg115 0.667 0.533 0.500 1
Mg116 0.668 0.133 0.166 1
Mg117 0.668 0.133 0.834 1
Mg118 0.668 0.535 0.166 1
Mg119 0.668 0.535 0.834 1
Mg120 0.793 0.797 0.000 1
Mg121 0.793 0.996 0.000 1
Mg122 0.799 0.000 0.334 1
Mg123 0.799 0.000 0.666 1
Mg124 0.799 0.201 0.000 1
Mg125 0.799 0.598 0.000 1
Mg126 0.799 0.799 0.334 1
Mg127 0.799 0.799 0.666 1
Mg128 0.800 0.200 0.333 1
Mg129 0.800 0.200 0.667 1
Mg130 0.800 0.400 0.000 1
Mg131 0.800 0.400 0.333 1
Mg132 0.800 0.400 0.667 1
Mg133 0.800 0.600 0.333 1
Mg134 0.800 0.600 0.667 1
Mg135 0.863 0.931 0.171 1
Mg136 0.863 0.931 0.829 1
Mg137 0.866 0.134 0.500 1
Mg138 0.866 0.333 0.500 1
Mg139 0.866 0.533 0.500 1
Mg140 0.866 0.733 0.500 1
Mg141 0.866 0.933 0.500 1
Mg142 0.867 0.332 0.166 1
Mg143 0.867 0.332 0.834 1
Mg144 0.867 0.535 0.166 1
Mg145 0.867 0.535 0.834 1
Mg146 0.869 0.131 0.164 1
Mg147 0.869 0.131 0.836 1
Mg148 0.869 0.737 0.164 1
Mg149 0.869 0.737 0.836 1
```

=====

Which of these has the highest energy relative to the elements?
Mg

=====

What did the third record say?
Density functional theory data (PBE-GGA) for a relaxed structure of Mg.

## Properties
Space group ... P6_3/mmc, No. 194
Excess energy over the best structure of this formula in the dataset ... 13.3 meV/atom
Uncorrected energy ... -1.59 eV/atom
Energy relative to the elements ... 0.0133 eV/atom
Calculated density ... 1.8 g/cm3

Geometry as CIF:
```
data_Mg
_chemical_formula_sum 'Mg4'
_space_group_name_H-M_alt 'P 1'
_space_group_IT_number 1
_cell_length_a 3.204
_cell_length_b 3.204
_cell_length_c 10.321
_cell_angle_alpha 90.00
_cell_angle_beta 90.00
_cell_angle_gamma 120.00
loop_
_space_group_symop_operation_xyz
'x,y,z'
loop_
_atom_site_label
_atom_site_fract_x
_atom_site_fract_y
_atom_site_fract_z
_atom_site_occupancy
Mg1 0.000 0.000 0.000 1
Mg2 0.000 0.000 0.500 1
Mg3 0.333 0.667 0.250 1
Mg4 0.667 0.333 0.750 1
```

=====

The lowest calculated density belongs to which entry?
BeB6H14